Density functional theory data (GGA-PBE) for a relaxed structure of TlGeCl3.

mass density	4.21	g/cm3
magnetic moment	0.00	μB/f.u.
symmetry	Cm
formation energy	-1253	meV per atom

POSCAR file:
```
TlGeCl3
1.0
-0.532 -4.827 -2.191
3.160 -2.126 3.726
-4.210 -1.019 3.092
Cl Ge Tl
3 1 1
Direct
0.020 0.497 0.477
0.497 0.020 0.477
0.503 0.503 0.006
0.481 0.481 0.467
0.989 0.989 0.009
```